1.
First-principles (PBE-GGA) data for Mn2Cu2AsP after structural relaxation, as listed in the Materials Project.

Cell lengths 3.6026, 6.1392, 7.3836 Å; angles 90.00, 90.00, 90.00 degrees
Fractional coordinates of all 12 atoms:
Mn 0.2500 0.0305 0.8319
P 0.7500 0.2485 0.6356
Mn 0.2500 0.5305 0.6681
Cu 0.7500 0.8667 0.5734
Cu 0.7500 0.3667 0.9266
P 0.7500 0.7485 0.8644
As 0.2500 0.2533 0.1403
As 0.2500 0.7533 0.3597
Mn 0.7500 0.4597 0.3558
Cu 0.2500 0.1413 0.4544
Cu 0.2500 0.6413 0.0456
Mn 0.7500 0.9597 0.1442

Results
SG ... Pmc2_1
Electronic total energy ... -6.168 eV/atom
M_tot ... 1.069 μB per atom

---

2.
First-principles (PBE-GGA) data for Pr2Mn3Cu9As7 after structural relaxation, as listed in the Materials Project.

Cell lengths 9.9273, 9.9273, 4.0074 Å; angles 90.00, 90.00, 120.00 degrees
Fractional coordinates of all 21 atoms:
Cu 0.3808 0.2912 0.0000
Mn 0.4571 0.8875 0.5000
Cu 0.9525 0.2424 0.5000
Cu 0.7576 0.7101 0.5000
Cu 0.1710 0.3839 0.0000
As 0.2140 0.2535 0.5000
Mn 0.1125 0.5697 0.5000
Cu 0.2129 0.8290 0.0000
As 0.6277 0.5443 0.0000
Mn 0.4303 0.5429 0.5000
As 0.9166 0.3723 0.0000
Cu 0.7088 0.0896 0.0000
As 0.3333 0.6667 0.0000
Cu 0.2899 0.0475 0.5000
Cu 0.9104 0.6192 0.0000
Pr 0.0000 0.0000 0.0000
Pr 0.6667 0.3333 0.5000
As 0.7465 0.9605 0.5000
As 0.0395 0.7860 0.5000
Cu 0.6161 0.7871 0.0000
As 0.4557 0.0834 0.0000

Results
SG ... P-6
Electronic total energy ... -5.380 eV/atom
M_tot ... 0.632 μB per atom

---

3.
First-principles (PBE-GGA) data for NaCuAsO4 after structural relaxation, as listed in the Materials Project.

Cell lengths 10.9080, 6.1396, 10.5828 Å; angles 88.52, 90.00, 90.00 degrees
Fractional coordinates of all 56 atoms:
O 0.0291 0.0991 0.8343
As 0.3645 0.3777 0.9088
O 0.7947 0.5976 0.4475
O 0.2844 0.8791 0.4537
O 0.2960 0.8707 0.1829
Na 0.3693 0.6321 0.6186
As 0.1355 0.3777 0.4088
Na 0.8474 0.8717 0.8824
O 0.4709 0.0991 0.3343
O 0.0535 0.6258 0.3777
O 0.7040 0.1293 0.8171
O 0.7053 0.5976 0.9475
Cu 0.3796 0.8312 0.0109
Na 0.8693 0.3679 0.8814
O 0.7156 0.1209 0.5463
As 0.8645 0.6223 0.5912
O 0.2053 0.4024 0.5525
Cu 0.1204 0.8312 0.5109
Cu 0.4003 0.3843 0.2229
As 0.6210 0.1271 0.6786
O 0.0353 0.6349 0.8402
Cu 0.6204 0.1688 0.9891
O 0.9616 0.8453 0.5881
O 0.2156 0.8791 0.9537
O 0.9709 0.9009 0.1657
Na 0.6526 0.8717 0.3824
O 0.0384 0.1547 0.4119
Na 0.3474 0.1283 0.6176
O 0.7960 0.1293 0.3171
Cu 0.0997 0.3843 0.7229
Na 0.1526 0.1283 0.1176
Na 0.6307 0.3679 0.3814
O 0.4616 0.1547 0.9119
O 0.2947 0.4024 0.0525
O 0.2682 0.3466 0.7835
O 0.7844 0.1209 0.0463
O 0.7682 0.6534 0.7165
O 0.9465 0.3742 0.6223
O 0.2040 0.8707 0.6829
As 0.8790 0.1271 0.1786
As 0.3790 0.8729 0.3214
O 0.9647 0.3651 0.1598
O 0.4465 0.6258 0.8777
O 0.2318 0.3466 0.2835
O 0.5535 0.3742 0.1223
O 0.5384 0.8453 0.0881
Cu 0.5997 0.6157 0.7771
O 0.5291 0.9009 0.6657
Cu 0.8796 0.1688 0.4891
O 0.7318 0.6534 0.2165
Cu 0.9003 0.6157 0.2771
O 0.5353 0.3651 0.6598
O 0.4647 0.6349 0.3402
As 0.6355 0.6223 0.0912
As 0.1210 0.8729 0.8214
Na 0.1307 0.6321 0.1186

Results
SG ... P2_1/c
Electronic total energy ... -5.466 eV/atom
M_tot ... 0.000 μB per atom